# 1
Entry from the Materials Project: crystalline CdI2 at its relaxed geometry (PBE).

Cell: 4.341 4.341 103.153 Å, 90.00 90.00 120.00°
Fractional coordinates of all 42 atoms:
Cd 0.000 0.000 0.089
I 0.000 0.000 0.001
I 0.333 0.667 0.963
I 0.333 0.667 0.106
I 0.667 0.333 0.930
I 0.333 0.667 0.463
I 0.000 0.000 0.144
I 0.667 0.333 0.858
Cd 0.667 0.333 0.304
Cd 0.667 0.333 0.018
I 0.667 0.333 0.215
I 0.000 0.000 0.573
I 0.333 0.667 0.177
I 0.333 0.667 0.820
I 0.667 0.333 0.358
I 0.000 0.000 0.715
Cd 0.000 0.000 0.804
Cd 0.667 0.333 0.589
I 0.667 0.333 0.787
I 0.333 0.667 0.677
I 0.333 0.667 0.320
I 0.000 0.000 0.430
Cd 0.667 0.333 0.446
I 0.667 0.333 0.501
Cd 0.667 0.333 0.161
I 0.333 0.667 0.249
Cd 0.000 0.000 0.375
I 0.333 0.667 0.749
Cd 0.000 0.000 0.518
I 0.667 0.333 0.073
Cd 0.000 0.000 0.875
Cd 0.667 0.333 0.732
I 0.333 0.667 0.606
I 0.333 0.667 0.535
I 0.333 0.667 0.035
Cd 0.000 0.000 0.232
I 0.333 0.667 0.392
Cd 0.000 0.000 0.946
I 0.667 0.333 0.644
I 0.333 0.667 0.892
I 0.000 0.000 0.287
Cd 0.000 0.000 0.661

Summary:
* DFT formation energy: -0.838 eV per atom
* symmetry: P3m1



# 2
Entry from the Materials Project: crystalline CdI2 at its relaxed geometry (PBE).

Cell: 4.333 4.333 59.300 Å, 90.00 90.00 120.00°
Fractional coordinates of all 24 atoms:
I 0.333 0.667 0.810
I 0.000 0.000 0.002
I 0.667 0.333 0.127
Cd 0.667 0.333 0.281
Cd 0.667 0.333 0.531
I 0.000 0.000 0.252
Cd 0.000 0.000 0.156
I 0.333 0.667 0.935
I 0.667 0.333 0.627
I 0.333 0.667 0.685
Cd 0.000 0.000 0.406
Cd 0.000 0.000 0.781
I 0.333 0.667 0.435
Cd 0.667 0.333 0.031
I 0.333 0.667 0.185
I 0.333 0.667 0.060
Cd 0.000 0.000 0.906
I 0.667 0.333 0.877
I 0.333 0.667 0.560
I 0.333 0.667 0.310
Cd 0.000 0.000 0.656
I 0.000 0.000 0.502
I 0.667 0.333 0.377
I 0.667 0.333 0.752

Summary:
* DFT formation energy: -0.838 eV per atom
* symmetry: P3m1



# 3
Entry from the Materials Project: crystalline CdI2 at its relaxed geometry (PBE).

Cell: 4.335 4.335 89.312 Å, 90.00 90.00 120.00°
Fractional coordinates of all 36 atoms:
I 0.333 0.667 0.668
I 0.667 0.333 0.623
Cd 0.333 0.667 0.437
Cd 0.000 0.000 0.687
Cd 0.333 0.667 0.104
Cd 0.333 0.667 0.771
I 0.000 0.000 0.585
I 0.667 0.333 0.457
I 0.000 0.000 0.918
I 0.667 0.333 0.290
I 0.333 0.667 0.373
I 0.000 0.000 0.085
I 0.333 0.667 0.835
Cd 0.333 0.667 0.604
Cd 0.000 0.000 0.854
I 0.333 0.667 0.207
Cd 0.333 0.667 0.938
I 0.000 0.000 0.418
I 0.000 0.000 0.751
Cd 0.333 0.667 0.271
Cd 0.667 0.333 0.187
I 0.667 0.333 0.707
I 0.667 0.333 0.123
I 0.667 0.333 0.790
I 0.333 0.667 0.040
Cd 0.667 0.333 0.354
I 0.333 0.667 0.540
I 0.000 0.000 0.168
I 0.667 0.333 0.957
I 0.000 0.000 0.502
Cd 0.667 0.333 0.021
I 0.000 0.000 0.335
Cd 0.667 0.333 0.521
I 0.000 0.000 0.002
I 0.000 0.000 0.252
I 0.667 0.333 0.873

Summary:
* DFT formation energy: -0.838 eV per atom
* symmetry: P3m1



# 4
Entry from the Materials Project: crystalline CdI2 at its relaxed geometry (PBE).

Cell: 4.338 4.338 65.079 Å, 90.00 90.00 120.00°
Fractional coordinates of all 24 atoms:
I 0.667 0.333 0.683
Cd 0.333 0.667 0.031
I 0.000 0.000 0.880
I 0.333 0.667 0.130
Cd 0.333 0.667 0.281
Cd 0.000 0.000 0.656
I 0.667 0.333 0.808
Cd 0.333 0.667 0.906
I 0.667 0.333 0.308
I 0.333 0.667 0.630
Cd 0.000 0.000 0.156
I 0.667 0.333 0.058
I 0.000 0.000 0.005
I 0.667 0.333 0.433
I 0.333 0.667 0.755
I 0.000 0.000 0.558
Cd 0.667 0.333 0.531
Cd 0.000 0.000 0.781
Cd 0.000 0.000 0.406
I 0.667 0.333 0.183
I 0.333 0.667 0.380
I 0.667 0.333 0.933
I 0.000 0.000 0.255
I 0.333 0.667 0.505

Summary:
* DFT formation energy: -0.839 eV per atom
* symmetry: P3m1